1.
This record from the Materials Project database describes a relaxed structure of HfMg14B. The functional is GGA-PBE.

Structure (POSCAR):
```
HfMg14B
1.0
-1.643 1.396 -5.981
-2.799 -4.529 2.684
-7.042 6.381 3.425
Mg Hf B
14 1 1
direct
0.338 0.167 0.370
0.612 0.320 0.125
0.165 0.832 0.625
0.836 0.668 0.872
0.338 0.671 0.880
0.884 0.192 0.326
0.662 0.326 0.625
0.338 0.671 0.370
0.662 0.836 0.625
0.884 0.192 0.924
0.836 0.668 0.378
0.156 0.328 0.625
0.338 0.167 0.880
0.612 0.791 0.125
0.126 0.813 0.125
0.211 0.356 0.125
```

## Properties
Offset from the most stable computed form, kcal/mol of atoms: 0.00
Calculated volume, Å³/atom: 21.14
ΔH_f (0 K), eV/f.u.: 2.995

2.
This record from the Materials Project database describes a relaxed structure of HfMg6BO8. The functional is GGA-PBE.

Structure (POSCAR):
```
HfMg6BO8
1.0
8.876 0.000 0.000
0.000 4.285 0.000
0.000 0.000 4.285
O Mg Hf B
8 6 1 1
direct
0.731 0.000 0.000
0.500 0.000 0.500
0.269 0.000 0.000
0.251 0.500 0.500
0.500 0.500 0.000
0.000 0.000 0.500
0.000 0.500 0.000
0.749 0.500 0.500
0.257 0.500 0.000
0.743 0.000 0.500
0.743 0.500 0.000
0.500 0.000 0.000
0.257 0.000 0.500
0.500 0.500 0.500
0.000 0.500 0.500
0.000 0.000 0.000
```

## Properties
Offset from the most stable computed form, kcal/mol of atoms: 0.00
Energy with MP2020 corrections, eV/f.u.: -105.9
Calculated volume, Å³/atom: 10.18
ΔH_f (0 K), eV/f.u.: -40.069

3.
This record from the Materials Project database describes a relaxed structure of HfMg14BO16. The functional is GGA-PBE.

Structure (POSCAR):
```
HfMg14BO16
1.0
8.666 0.000 0.000
0.000 8.666 0.000
0.000 0.000 4.286
Mg O Hf B
14 16 1 1
direct
0.000 0.500 0.000
0.761 0.500 0.500
0.500 0.000 0.000
0.500 0.761 0.500
0.000 0.756 0.500
0.244 0.000 0.500
0.000 0.244 0.500
0.239 0.239 0.000
0.761 0.239 0.000
0.756 0.000 0.500
0.500 0.239 0.500
0.761 0.761 0.000
0.239 0.500 0.500
0.239 0.761 0.000
0.500 0.252 0.000
0.749 0.251 0.500
0.000 0.500 0.500
0.500 0.748 0.000
0.749 0.749 0.500
0.500 0.000 0.500
0.268 0.000 0.000
0.251 0.251 0.500
0.251 0.749 0.500
0.000 0.000 0.500
0.732 0.000 0.000
0.252 0.500 0.000
0.000 0.732 0.000
0.500 0.500 0.500
0.748 0.500 0.000
0.000 0.268 0.000
0.500 0.500 0.000
0.000 0.000 0.000
```

## Properties
Energy with MP2020 corrections, eV/f.u.: -206.6
Calculated volume, Å³/atom: 10.06
ΔH_f (0 K), eV/f.u.: -88.346

4.
This record from the Materials Project database describes a relaxed structure of HfMg6BO8. The functional is GGA-PBE.

Structure (POSCAR):
```
HfMg6BO8
1.0
-6.887 -4.848 -4.080
2.860 -2.004 -2.446
0.393 -3.047 2.956
O B Mg Hf
8 1 6 1
direct
0.242 0.500 0.500
0.000 0.500 0.000
0.500 0.000 0.500
0.719 0.000 0.000
0.000 0.000 0.500
0.281 0.000 0.000
0.500 0.500 0.000
0.758 0.500 0.500
0.000 0.000 0.000
0.221 0.000 0.500
0.000 0.500 0.500
0.500 0.500 0.500
0.779 0.000 0.500
0.779 0.500 0.000
0.221 0.500 0.000
0.500 0.000 0.000
```

## Properties
Offset from the most stable computed form, kcal/mol of atoms: 0.22
Energy with MP2020 corrections, eV/f.u.: -105.7
Calculated volume, Å³/atom: 10.63
ΔH_f (0 K), eV/f.u.: -39.913

5.
This record from the Materials Project database describes a relaxed structure of HfMg14BO16. The functional is GGA-PBE.

Structure (POSCAR):
```
HfMg14BO16
1.0
-6.159 0.147 6.099
1.735 -8.317 1.954
2.887 1.280 2.885
O Mg Hf B
16 14 1 1
direct
0.500 0.747 0.000
0.500 0.000 0.500
0.500 0.500 0.500
0.000 0.500 0.500
0.000 0.000 0.500
0.753 0.750 0.500
0.753 0.250 0.500
0.254 0.500 0.000
0.267 0.000 0.000
0.247 0.750 0.500
0.000 0.266 0.000
0.733 0.000 0.000
0.746 0.500 0.000
0.247 0.250 0.500
0.500 0.253 0.000
0.000 0.734 0.000
0.258 0.500 0.500
0.500 0.000 0.000
0.000 0.233 0.500
0.500 0.247 0.500
0.254 0.240 0.000
0.746 0.240 0.000
0.500 0.753 0.500
0.254 0.760 0.000
0.000 0.767 0.500
0.746 0.760 0.000
0.742 0.500 0.500
0.500 0.500 0.000
0.248 0.000 0.500
0.752 0.000 0.500
0.000 0.500 0.000
0.000 0.000 0.000
```

## Properties
Energy with MP2020 corrections, eV/f.u.: -206.6
Calculated volume, Å³/atom: 10.10
ΔH_f (0 K), eV/f.u.: -88.399

6.
This record from the Materials Project database describes a relaxed structure of Hf9B2Mo3. The functional is GGA-PBE.

Structure (POSCAR):
```
Hf9B2Mo3
1.0
4.211 1.369 -7.131
-7.985 -2.572 -0.270
-2.594 8.052 0.014
Hf B Mo
18 4 6
direct
0.201 0.799 0.555
0.541 0.459 0.750
0.799 0.201 0.445
0.919 0.459 0.750
0.201 0.799 0.945
0.598 0.799 0.945
0.201 0.402 0.945
0.402 0.201 0.055
0.799 0.598 0.445
0.459 0.541 0.250
0.541 0.081 0.750
0.799 0.598 0.055
0.459 0.919 0.250
0.081 0.541 0.250
0.402 0.201 0.445
0.201 0.402 0.555
0.799 0.201 0.055
0.598 0.799 0.555
0.667 0.333 0.250
0.000 0.000 0.500
0.333 0.667 0.750
0.000 0.000 0.000
0.108 0.892 0.250
0.784 0.892 0.250
0.108 0.216 0.250
0.892 0.784 0.750
0.892 0.108 0.750
0.216 0.108 0.750
```

## Properties
Calculated volume, Å³/atom: 18.43
ΔH_f (0 K), eV/f.u.: -1.634

7.
This record from the Materials Project database describes a relaxed structure of HfNbB4. The functional is GGA-PBE.

Structure (POSCAR):
```
HfNbB4
1.0
1.566 -2.712 0.000
1.566 2.712 0.000
0.000 0.000 6.806
B Nb Hf
4 1 1
direct
0.667 0.333 0.746
0.333 0.667 0.746
0.667 0.333 0.254
0.333 0.667 0.254
0.000 0.000 0.500
0.000 0.000 0.000
```

## Properties
Calculated volume, Å³/atom: 9.64
ΔH_f (0 K), eV/f.u.: -5.166

8.
This record from the Materials Project database describes a relaxed structure of HfNb8B12. The functional is GGA-PBE.

Structure (POSCAR):
```
HfNb8B12
1.0
-1.860 -21.226 1.681
-1.454 -20.405 6.195
-0.638 21.005 -3.904
B Nb Hf
12 8 1
direct
0.145 0.645 0.500
0.855 0.355 0.500
0.123 0.123 0.000
0.455 0.455 0.000
0.789 0.789 0.000
0.211 0.211 0.000
0.478 0.978 0.500
0.188 0.688 0.500
0.545 0.545 0.000
0.522 0.022 0.500
0.812 0.312 0.500
0.877 0.877 0.000
0.667 0.167 0.500
0.272 0.272 0.000
0.605 0.605 0.000
0.728 0.728 0.000
0.395 0.395 0.000
0.062 0.062 0.000
0.333 0.833 0.500
0.938 0.938 0.000
0.000 0.500 0.500
```

## Properties
Calculated volume, Å³/atom: 10.72
ΔH_f (0 K), eV/f.u.: -16.718